VASP calculation (PBE+U) on a geometry-optimized Li3V2P4H2O16 structure.

## Properties
- energy (eV/atom) = -6.868
- ΔE to the lowest computed polymorph (meV/atom) = 68
- total magnetization (μB/f.u.) = 3.0
- crystal system = triclinic
- DFT formation energy (eV/atom) = -2.53

Cell lengths 8.086, 9.977, 10.706 Å; angles 90.10, 90.03, 90.11 degrees
Atoms (fractional coordinates):
1 P 0.650 0.199 0.468
2 P 0.652 0.866 0.131
3 P 0.847 0.701 0.465
4 P 0.843 0.368 0.129
5 P 0.345 0.464 0.202
6 P 0.346 0.798 0.538
7 P 0.153 0.969 0.198
8 P 0.651 0.532 0.802
9 P 0.149 0.301 0.532
10 P 0.845 0.034 0.800
11 P 0.345 0.132 0.871
12 P 0.150 0.636 0.866
13 Li 0.362 0.737 0.081
14 Li 0.633 0.936 0.584
15 Li 0.128 0.566 0.415
16 Li 0.364 0.404 0.745
17 Li 0.636 0.603 0.258
18 Li 0.633 0.268 0.924
19 Li 0.867 0.095 0.253
20 Li 0.129 0.898 0.746
21 Li 0.132 0.232 0.076
22 H 0.490 0.502 0.013
23 H 0.988 0.996 0.986
24 H 0.492 0.169 0.678
25 H 0.990 0.331 0.321
26 H 0.485 0.837 0.354
27 H 0.988 0.663 0.650
28 O 0.956 0.689 0.347
29 O 0.943 0.621 0.566
30 O 0.326 0.650 0.501
31 O 0.068 0.712 0.760
32 O 0.179 0.533 0.224
33 O 0.327 0.982 0.836
34 O 0.667 0.349 0.494
35 O 0.666 0.685 0.829
36 O 0.546 0.858 0.006
37 O 0.943 0.956 0.902
38 O 0.171 0.483 0.834
39 O 0.559 0.454 0.905
40 O 0.455 0.810 0.659
41 O 0.820 0.515 0.165
42 O 0.325 0.314 0.165
43 O 0.182 0.869 0.560
44 O 0.049 0.982 0.318
45 O 0.458 0.478 0.317
46 O 0.443 0.211 0.767
47 O 0.674 0.966 0.781
48 O 0.452 0.147 0.991
49 O 0.815 0.129 0.437
50 O 0.548 0.787 0.227
51 O 0.450 0.877 0.439
52 O 0.822 0.805 0.115
53 O 0.327 0.034 0.213
54 O 0.179 0.204 0.889
55 O 0.678 0.634 0.441
56 O 0.315 0.370 0.563
57 O 0.950 0.020 0.681
58 O 0.327 0.700 0.888
59 O 0.548 0.189 0.338
60 O 0.826 0.471 0.789
61 O 0.678 0.293 0.110
62 O 0.547 0.516 0.683
63 O 0.826 0.850 0.501
64 O 0.060 0.377 0.429
65 O 0.437 0.545 0.097
66 O 0.951 0.352 0.008
67 O 0.047 0.311 0.662
68 O 0.823 0.185 0.833
69 O 0.560 0.123 0.572
70 O 0.058 0.048 0.097
71 O 0.667 0.019 0.162
72 O 0.943 0.288 0.232
73 O 0.055 0.641 0.989
74 O 0.177 0.820 0.165
75 O 0.166 0.151 0.508
76 V 0.002 0.001 0.498
77 V 0.495 0.163 0.176
78 V 0.504 0.497 0.501
79 V 0.998 0.671 0.163
80 V 0.506 0.827 0.835
81 V 0.996 0.340 0.824

=====

VASP calculation (PBE+U) on a geometry-optimized Mg2VBiO6 structure.

## Properties
- energy (eV/atom) = -6.536
- ΔE to the lowest computed polymorph (meV/atom) = 0
- total magnetization (μB/f.u.) = 0.0
- crystal system = orthorhombic
- DFT formation energy (eV/atom) = -2.53

Cell lengths 5.525, 8.015, 12.492 Å; angles 90.00, 90.00, 90.00 degrees
Atoms (fractional coordinates):
1 O 0.750 0.137 0.206
2 O 0.002 0.171 0.993
3 O 0.250 0.637 0.294
4 O 0.250 0.863 0.794
5 O 0.510 0.493 0.117
6 O 0.010 0.993 0.383
7 O 0.490 0.993 0.383
8 O 0.750 0.789 0.241
9 O 0.010 0.507 0.883
10 O 0.502 0.671 0.507
11 O 0.490 0.507 0.883
12 O 0.510 0.007 0.617
13 O 0.250 0.211 0.759
14 O 0.498 0.329 0.493
15 O 0.998 0.671 0.507
16 O 0.502 0.829 0.007
17 O 0.002 0.329 0.493
18 O 0.250 0.289 0.259
19 O 0.498 0.171 0.993
20 O 0.990 0.007 0.617
21 O 0.750 0.711 0.741
22 O 0.990 0.493 0.117
23 O 0.750 0.363 0.706
24 O 0.998 0.829 0.007
25 Mg 0.250 0.699 0.915
26 Mg 0.750 0.199 0.585
27 Mg 0.250 0.801 0.415
28 Mg 0.750 0.812 0.595
29 Mg 0.750 0.301 0.085
30 Mg 0.250 0.312 0.905
31 Mg 0.250 0.188 0.405
32 Mg 0.750 0.688 0.095
33 V 0.250 0.481 0.198
34 V 0.250 0.019 0.698
35 V 0.750 0.519 0.802
36 V 0.750 0.981 0.302
37 Bi 0.250 0.013 0.091
38 Bi 0.750 0.987 0.909
39 Bi 0.750 0.513 0.409
40 Bi 0.250 0.487 0.591

=====

VASP calculation (PBE+U) on a geometry-optimized Ba2W3O7 structure.

## Properties
- energy (eV/atom) = -6.965
- total magnetization (μB/f.u.) = 4.6
- crystal system = orthorhombic
- DFT formation energy (eV/atom) = -2.03

Cell lengths 4.037, 4.038, 12.134 Å; angles 90.00, 90.00, 90.00 degrees
Atoms (fractional coordinates):
1 W 0.500 0.000 0.618
2 W 0.500 0.000 0.382
3 W 0.500 0.000 0.000
4 O 0.000 0.000 0.365
5 O 0.500 0.000 0.842
6 O 0.000 0.000 0.000
7 O 0.500 0.500 0.355
8 O 0.000 0.000 0.635
9 O 0.500 0.000 0.158
10 O 0.500 0.500 0.645
11 Ba 0.000 0.500 0.199
12 Ba 0.000 0.500 0.801

=====

VASP calculation (PBE+U) on a geometry-optimized Lu2CoTe2S2O14 structure.

## Properties
- energy (eV/atom) = -6.580
- total magnetization (μB/f.u.) = 3.0
- crystal system = triclinic
- DFT formation energy (eV/atom) = -2.36

Cell lengths 5.427, 8.076, 8.114 Å; angles 112.83, 107.38, 96.64 degrees
Atoms (fractional coordinates):
1 O 0.900 0.579 0.165
2 O 0.127 0.929 0.395
3 O 0.873 0.071 0.605
4 O 0.543 0.720 0.917
5 O 0.457 0.280 0.083
6 O 0.100 0.421 0.835
7 O 0.631 0.812 0.686
8 O 0.369 0.188 0.314
9 O 0.546 0.298 0.759
10 O 0.791 0.178 0.272
11 O 0.454 0.702 0.241
12 O 0.709 0.476 0.428
13 O 0.291 0.524 0.572
14 O 0.209 0.822 0.728
15 S 0.581 0.282 0.274
16 S 0.419 0.718 0.726
17 Te 0.132 0.768 0.152
18 Te 0.868 0.232 0.848
19 Lu 0.838 0.767 0.474
20 Lu 0.162 0.233 0.526
21 Co 0.500 0.500 0.000

=====

VASP calculation (PBE+U) on a geometry-optimized V4Pb3O3F19 structure.

## Properties
- energy (eV/atom) = -5.589
- total magnetization (μB/f.u.) = 1.0
- crystal system = trigonal
- DFT formation energy (eV/atom) = -2.79

Cell lengths 10.408, 10.408, 9.298 Å; angles 90.00, 90.00, 120.00 degrees
Atoms (fractional coordinates):
1 V 0.768 0.694 0.205
2 V 0.232 0.927 0.705
3 V 0.073 0.306 0.705
4 V 0.667 0.333 0.929
5 V 0.927 0.232 0.205
6 V 0.306 0.073 0.205
7 V 0.694 0.768 0.705
8 V 0.333 0.667 0.429
9 F 0.491 0.809 0.319
10 F 0.828 0.361 0.054
11 F 0.912 0.278 0.589
12 F 0.509 0.318 0.819
13 F 0.866 0.603 0.291
14 F 0.098 0.839 0.559
15 F 0.559 0.603 0.810
16 F 0.809 0.491 0.819
17 F 0.263 0.397 0.791
18 F 0.088 0.366 0.089
19 F 0.278 0.912 0.089
20 F 0.333 0.667 0.016
21 F 0.161 0.260 0.559
22 F 0.441 0.044 0.310
23 F 0.667 0.333 0.516
24 F 0.722 0.634 0.589
25 F 0.639 0.467 0.054
26 F 0.361 0.828 0.554
27 F 0.603 0.559 0.310
28 F 0.191 0.682 0.319
29 F 0.740 0.902 0.559
30 F 0.737 0.134 0.291
31 F 0.044 0.441 0.810
32 F 0.366 0.088 0.589
33 F 0.682 0.191 0.819
34 F 0.634 0.722 0.089
35 F 0.318 0.509 0.319
36 F 0.533 0.172 0.054
37 F 0.902 0.740 0.059
38 F 0.134 0.737 0.791
39 F 0.956 0.397 0.310
40 F 0.172 0.533 0.554
41 F 0.603 0.866 0.791
42 F 0.467 0.639 0.554
43 F 0.397 0.263 0.291
44 F 0.260 0.161 0.059
45 F 0.397 0.956 0.810
46 F 0.839 0.098 0.059
47 O 0.158 0.992 0.297
48 O 0.842 0.835 0.797
49 O 0.835 0.842 0.297
50 O 0.165 0.008 0.797
51 O 0.008 0.165 0.297
52 O 0.992 0.158 0.797
53 Pb 0.925 0.535 0.525
54 Pb 0.075 0.610 0.025
55 Pb 0.390 0.465 0.025
56 Pb 0.465 0.390 0.525
57 Pb 0.610 0.075 0.525
58 Pb 0.535 0.925 0.025

=====

VASP calculation (PBE+U) on a geometry-optimized LiV2P4H2O16 structure.

## Properties
- energy (eV/atom) = -6.932
- ΔE to the lowest computed polymorph (meV/atom) = 3
- total magnetization (μB/f.u.) = 1.0
- crystal system = triclinic
- DFT formation energy (eV/atom) = -2.40

Cell lengths 7.755, 7.895, 13.622 Å; angles 90.06, 98.60, 90.06 degrees
Atoms (fractional coordinates):
1 O 0.279 0.329 0.094
2 O 0.616 0.450 0.063
3 O 0.472 0.325 0.601
4 O 0.053 0.555 0.899
5 O 0.722 0.550 0.270
6 O 0.032 0.840 0.401
7 O 0.374 0.543 0.938
8 O 0.389 0.668 0.572
9 O 0.194 0.673 0.064
10 O 0.949 0.449 0.398
11 O 0.778 0.054 0.434
12 O 0.104 0.173 0.432
13 O 0.884 0.950 0.935
14 O 0.565 0.826 0.235
15 O 0.449 0.058 0.095
16 O 0.965 0.161 0.603
17 O 0.946 0.443 0.101
18 O 0.775 0.052 0.726
19 O 0.107 0.052 0.767
20 O 0.207 0.960 0.271
21 O 0.730 0.672 0.906
22 O 0.886 0.825 0.570
23 O 0.634 0.156 0.266
24 O 0.365 0.825 0.731
25 O 0.704 0.837 0.064
26 O 0.797 0.339 0.935
27 O 0.296 0.172 0.934
28 O 0.780 0.174 0.097
29 O 0.226 0.829 0.909
30 O 0.217 0.940 0.570
31 O 0.547 0.942 0.604
32 O 0.442 0.169 0.760
33 O 0.947 0.324 0.766
34 O 0.063 0.671 0.247
35 O 0.539 0.673 0.396
36 O 0.605 0.327 0.419
37 O 0.056 0.552 0.608
38 O 0.557 0.942 0.900
39 O 0.724 0.554 0.565
40 O 0.279 0.440 0.432
41 O 0.286 0.442 0.728
42 O 0.390 0.559 0.234
43 O 0.615 0.440 0.765
44 O 0.459 0.037 0.394
45 O 0.119 0.055 0.064
46 O 0.891 0.947 0.233
47 O 0.864 0.659 0.731
48 O 0.126 0.324 0.270
49 V 0.009 0.006 0.503
50 V 0.169 0.507 0.166
51 V 0.501 0.493 0.499
52 V 0.332 0.993 0.832
53 V 0.655 0.995 0.166
54 V 0.825 0.505 0.833
55 P 0.720 0.854 0.952
56 P 0.448 0.342 0.711
57 P 0.613 0.148 0.379
58 P 0.890 0.646 0.618
59 P 0.220 0.652 0.954
60 P 0.560 0.643 0.286
61 P 0.780 0.352 0.048
62 P 0.111 0.352 0.381
63 P 0.386 0.841 0.621
64 P 0.049 0.848 0.289
65 P 0.278 0.155 0.046
66 P 0.942 0.146 0.716
67 H 0.513 0.490 0.006
68 H 0.667 0.004 0.668
69 H 0.171 0.501 0.667
70 H 0.316 0.991 0.327
71 H 0.846 0.495 0.339
72 H 0.986 0.989 0.992
73 Li 0.033 0.133 0.182
74 Li 0.628 0.867 0.482
75 Li 0.209 0.370 0.852

=====

VASP calculation (PBE+U) on a geometry-optimized Li2FeCo3O8 structure.

## Properties
- energy (eV/atom) = -5.849
- ΔE to the lowest computed polymorph (meV/atom) = 43
- total magnetization (μB/f.u.) = 7.0
- crystal system = triclinic
- DFT formation energy (eV/atom) = -1.52

Cell lengths 5.831, 5.894, 10.233 Å; angles 89.79, 106.48, 119.80 degrees
Atoms (fractional coordinates):
1 O 0.749 0.102 0.397
2 O 0.261 0.409 0.116
3 O 0.272 0.646 0.895
4 O 0.729 0.126 0.888
5 O 0.293 0.668 0.385
6 O 0.250 0.339 0.613
7 O 0.714 0.874 0.115
8 O 0.739 0.591 0.884
9 O 0.251 0.898 0.603
10 O 0.286 0.126 0.885
11 O 0.750 0.661 0.387
12 O 0.271 0.874 0.112
13 O 0.707 0.332 0.615
14 O 0.273 0.130 0.393
15 O 0.727 0.870 0.607
16 O 0.728 0.354 0.105
17 Co 0.500 0.000 0.000
18 Co 0.000 0.000 0.500
19 Co 0.000 0.500 0.000
20 Co 0.500 0.500 0.000
21 Co 0.500 0.000 0.500
22 Co 0.500 0.500 0.500
23 Fe 0.500 0.238 0.753
24 Fe 0.500 0.762 0.247
25 Li 0.120 0.553 0.685
26 Li 0.872 0.931 0.816
27 Li 0.880 0.447 0.315
28 Li 0.128 0.069 0.184

=====

VASP calculation (PBE+U) on a geometry-optimized V2P4H3O16 structure.

## Properties
- energy (eV/atom) = -6.867
- total magnetization (μB/f.u.) = 1.0
- crystal system = triclinic
- largest piezoelectric modulus (C/m²) = 1.149
- DFT formation energy (eV/atom) = -2.28

Cell lengths 4.963, 7.326, 8.002 Å; angles 90.82, 91.72, 102.26 degrees
Atoms (fractional coordinates):
1 O 0.774 0.569 0.425
2 O 0.786 0.608 0.843
3 O 0.732 0.928 0.955
4 O 0.690 0.879 0.326
5 O 0.834 0.154 0.571
6 O 0.549 0.810 0.664
7 O 0.322 0.658 0.921
8 O 0.021 0.307 0.842
9 O 0.682 0.347 0.083
10 O 0.166 0.848 0.429
11 O 0.452 0.193 0.336
12 O 0.978 0.696 0.157
13 O 0.309 0.123 0.673
14 O 0.225 0.433 0.574
15 O 0.219 0.393 0.153
16 O 0.258 0.074 0.045
17 H 0.937 0.970 0.982
18 H 0.420 0.432 0.568
19 H 0.578 0.570 0.432
20 V 0.001 0.497 0.004
21 V 0.499 0.002 0.499
22 P 0.598 0.753 0.845
23 P 0.399 0.237 0.151
24 P 0.901 0.755 0.331
25 P 0.098 0.247 0.669

=====

VASP calculation (PBE+U) on a geometry-optimized Mg14FeSiO16 structure.

## Properties
- energy (eV/atom) = -5.969
- ΔE to the lowest computed polymorph (meV/atom) = 11
- total magnetization (μB/f.u.) = 3.3
- crystal system = orthorhombic
- DFT formation energy (eV/atom) = -2.77

Cell lengths 8.598, 8.553, 4.270 Å; angles 90.00, 90.00, 90.00 degrees
Atoms (fractional coordinates):
1 O 0.252 0.500 0.000
2 O 0.261 0.000 0.000
3 O 0.000 0.000 0.500
4 O 0.748 0.500 0.000
5 O 0.739 0.000 0.000
6 O 0.000 0.727 0.000
7 O 0.500 0.500 0.500
8 O 0.000 0.273 0.000
9 O 0.248 0.750 0.500
10 O 0.000 0.500 0.500
11 O 0.500 0.252 0.000
12 O 0.248 0.250 0.500
13 O 0.500 0.000 0.500
14 O 0.500 0.748 0.000
15 O 0.752 0.750 0.500
16 O 0.752 0.250 0.500
17 Mg 0.000 0.754 0.500
18 Mg 0.500 0.000 0.000
19 Mg 0.500 0.751 0.500
20 Mg 0.749 0.247 0.000
21 Mg 0.251 0.753 0.000
22 Mg 0.253 0.500 0.500
23 Mg 0.500 0.249 0.500
24 Mg 0.747 0.500 0.500
25 Mg 0.750 0.000 0.500
26 Mg 0.251 0.247 0.000
27 Mg 0.500 0.500 0.000
28 Mg 0.749 0.753 0.000
29 Mg 0.000 0.246 0.500
30 Mg 0.250 0.000 0.500
31 Fe 0.000 0.000 0.000
32 Si 0.000 0.500 0.000